(1)
Compound: Ga4HCl6
Source: the Materials Project
Functional: PBE-GGA
Structure: optimized geometry

```
Ga4HCl6
1.0
14.529 0.000 0.000
0.000 9.560 0.000
0.000 0.000 8.244
Ga H Cl
16 4 24
Direct
0.000 0.013 0.036 Ga
0.000 0.073 0.749 Ga
0.000 0.441 0.000 Ga
0.000 0.733 0.448 Ga
0.218 0.162 0.335 Ga
0.228 0.405 0.736 Ga
0.272 0.595 0.236 Ga
0.282 0.838 0.835 Ga
0.500 0.267 0.948 Ga
0.500 0.559 0.500 Ga
0.500 0.927 0.249 Ga
0.500 0.987 0.536 Ga
0.718 0.838 0.835 Ga
0.728 0.595 0.236 Ga
0.772 0.405 0.736 Ga
0.782 0.162 0.335 Ga
0.221 0.336 0.566 H
0.279 0.664 0.066 H
0.721 0.664 0.066 H
0.779 0.336 0.566 H
0.000 0.184 0.228 Cl
0.000 0.293 0.656 Cl
0.121 0.971 0.613 Cl
0.123 0.885 0.119 Cl
0.131 0.512 0.298 Cl
0.139 0.598 0.772 Cl
0.193 0.264 0.943 Cl
0.307 0.736 0.443 Cl
0.361 0.402 0.272 Cl
0.369 0.488 0.798 Cl
0.377 0.115 0.619 Cl
0.379 0.029 0.113 Cl
0.500 0.707 0.156 Cl
0.500 0.816 0.728 Cl
0.621 0.029 0.113 Cl
0.623 0.115 0.619 Cl
0.631 0.488 0.798 Cl
0.639 0.402 0.272 Cl
0.693 0.736 0.443 Cl
0.807 0.264 0.943 Cl
0.861 0.598 0.772 Cl
0.869 0.512 0.298 Cl
0.877 0.885 0.119 Cl
0.879 0.971 0.613 Cl
```

Values from the calculation:
calculated volume	1144.97	Å³/cell
total moment	0.00	μB per cell
electronic total energy	-3.24	eV per atom
space-group type	Pmn2_1, No. 31

(2)
Compound: Si2Ru
Source: the Materials Project
Functional: PBE-GGA
Structure: optimized geometry

```
Si2Ru
1.0
2.880 0.000 0.000
0.000 2.880 0.000
0.000 0.000 5.279
Si Ru
2 1
Direct
0.000 0.000 0.221 Si
0.000 0.000 0.779 Si
0.500 0.500 0.500 Ru
```

Values from the calculation:
calculated volume	43.79	Å³/cell
total moment	0.00	μB per cell
electronic total energy	-7.12	eV per atom
space-group type	P4/mmm, No. 123